5
Lattice="-1.851 1.851 6.969 1.851 -1.851 6.969 1.851 1.851 -6.969" Properties=species:S:1:pos:R:3 comment="GGA-PBE RbCo2P2, relaxed" total_energy_ev_per_fu=-28.90 ef_ev_per_atom=-0.576 rho_g_cm3=4.614 pbc="T T T"
Rb 0.000 0.000 0.000
Co 1.851 0.000 3.484
Co 0.000 1.851 3.484
P 0.000 0.000 4.674
P 0.000 0.000 9.263